Material: LiCoOF2
Method: DFT, PBE+U
State: relaxed

Calculated values
E above lowest polymorph ... 0.00 eV/f.u.
Piezoelectric modulus e_max ... 3.6 C/m2
Magnetization ... 0.7998 μB per atom

```
10
Lattice="2.6443 4.3030 0.0000 -2.6443 4.3030 0.0000 0.0000 3.3159 4.6207" Properties=species:S:1:pos:R:3 pbc="T T T"
Li 1.2154 3.8098 1.5855
Li -1.2154 5.4678 3.8959
Co -1.3554 5.1642 0.9789
Co 1.3554 6.8221 3.2892
O 0.7188 5.5107 4.5436
O -0.7188 3.8528 2.2332
F 0.4811 4.9036 0.0324
F 0.3670 11.2731 4.5546
F -0.3670 9.6152 2.2443
F -0.4811 6.5615 2.3428
```

=====

Material: Ca2Mn2O5
Method: DFT, PBE+U
State: relaxed

Calculated values
E above lowest polymorph ... 0.05 eV/f.u.
Magnetization ... 0.8889 μB per atom

```
18
Lattice="0.0651 0.0003 5.4565 5.6193 0.0000 0.0666 -2.7772 7.5093 2.6953" Properties=species:S:1:pos:R:3 pbc="T T T"
Ca 0.1710 1.6270 2.7364
Ca 2.7427 5.9119 5.5284
Ca 2.7406 1.5983 5.5279
Ca 0.1733 5.8820 2.7365
Mn 3.1672 3.7558 2.5462
Mn 0.0331 0.0176 0.0768
Mn 0.0995 7.4919 5.5323
Mn -0.3542 3.7560 5.2806
O -0.6351 3.7546 3.2172
O 3.2898 3.7544 6.0495
O -1.2985 7.2847 4.1472
O 4.2403 0.1952 1.4772
O -1.3093 7.3138 6.8643
O 4.3062 0.2237 4.2016
O 0.4365 1.9392 5.6598
O 2.5530 5.5157 2.8756
O 2.5483 1.9970 2.8751
O 0.4396 5.5679 5.6614
```

=====

Material: Ca3Mn2Ga2O10
Method: DFT, PBE+U
State: relaxed

Calculated values
Magnetization ... 0.3529 μB per atom

```
34
Lattice="5.4184 0.0000 0.0000 0.0000 5.6906 0.0000 0.0000 5.3112 14.0771" Properties=species:S:1:pos:R:3 pbc="T T T"
Ca 1.2700 2.4825 5.4706
Ca 4.1484 5.1381 12.5092
Ca 3.9659 5.8895 1.5988
Ca 1.2870 2.6361 1.3632
Ca 1.4525 8.5451 8.6373
Ca 4.1314 5.2917 8.4018
Mn 1.3817 5.5197 6.9499
Mn 4.0753 8.3034 6.9383
Mn 4.0367 8.1753 13.9885
Mn 1.3431 10.9590 13.9769
Ga 3.7749 3.2934 3.5642
Ga 4.3866 7.8051 10.5807
Ga 1.6435 5.9490 10.6027
Ga 1.0318 5.1495 3.5422
O 4.1866 2.4563 1.9298
O 1.5081 6.0488 1.9740
O 4.6196 4.9147 3.5017
O 0.0592 3.9762 6.8982
O 3.9103 8.7045 9.0126
O 3.5405 6.1050 10.5266
O 2.6968 6.9112 7.3398
O 5.3592 6.6318 13.9368
O 2.6515 3.9555 6.8452
O 0.0671 6.9723 7.3324
O 2.7669 6.6111 13.8838
O 2.7216 4.2556 0.3012
O 1.2317 5.1119 8.9684
O 5.3513 4.3166 0.2938
O 0.7988 7.5703 10.5402
O 4.2180 2.3152 5.0839
O 1.4774 5.9565 5.1288
O 1.8779 3.4494 3.4880
O 1.2004 4.9708 12.1225
O 3.9410 8.6121 12.1674
```

=====

Material: V2Ni3O8
Method: DFT, PBE+U
State: relaxed

```
26
Lattice="6.0048 0.0000 0.0000 3.0024 5.7740 0.0000 0.0000 0.0000 8.3552" Properties=species:S:1:pos:R:3 pbc="T T T"
V 3.0024 4.3486 5.1708
V 6.0048 1.4254 3.1844
V 3.0024 1.4254 0.9932
V 6.0048 4.3486 7.3619
Ni 3.0024 0.0000 4.1776
Ni 0.0000 0.0000 0.0000
Ni 1.5012 1.5078 6.2664
Ni 4.5036 4.2662 2.0888
Ni 7.5060 4.2662 2.0888
Ni 4.5036 1.5078 6.2664
O 3.0024 0.0034 6.2225
O 6.0048 5.7706 2.1327
O 6.0048 0.0034 6.3102
O 3.0024 5.7706 2.0449
O 6.0048 2.8665 6.4404
O 3.0024 2.9076 1.9147
O 6.0048 2.9076 2.2628
O 3.0024 2.8665 6.0923
O 4.4092 4.4082 4.1642
O 1.4068 1.3658 4.1909
O 1.5956 1.3658 8.3418
O 4.5980 4.4082 0.0133
O 4.5980 1.3658 4.1909
O 7.6004 4.4082 4.1642
O 7.4117 4.4082 0.0133
O 4.4093 1.3658 8.3418
```

=====

Material: Bi14WO24
Method: DFT, PBE+U
State: relaxed

Calculated values
E above lowest polymorph ... 0.00 eV/f.u.

```
39
Lattice="-8.9192 0.0000 0.0000 -0.0037 -8.9207 0.0000 4.4178 4.4469 8.5930" Properties=species:S:1:pos:R:3 pbc="T T T"
Bi 0.9615 -6.2265 2.9238
Bi -1.7910 -5.4746 5.7312
Bi -4.4743 -4.4356 2.7247
Bi 1.7645 -3.5191 5.7429
Bi -4.9592 -6.9762 0.0156
Bi -1.0041 -2.7183 2.9701
Bi -3.5234 -1.7868 5.7422
Bi -1.9147 -4.9754 0.0094
Bi -6.2407 -1.0167 2.9119
Bi -0.0425 -0.0244 5.8400
Bi -2.5431 0.5180 8.5820
Bi -2.7309 0.9639 2.9707
Bi -5.4829 1.7603 5.7124
Bi 0.5073 2.5205 8.5662
W -0.0221 -0.0381 0.3592
O -4.3883 -2.7945 8.3781
O -3.7608 2.2271 4.3552
O -3.3820 -6.0998 1.3580
O -6.0715 -5.5440 1.3668
O -6.6950 -5.1735 4.3093
O 0.0068 -4.5112 6.6171
O -0.0255 -4.4624 2.0235
O -2.2685 -3.7777 4.3214
O -2.8413 -3.3982 1.3708
O -5.5199 -2.8955 1.3783
O 0.6903 -2.3006 4.3768
O -5.1556 -2.2827 4.2657
O 1.0411 -1.6459 7.2440
O -1.6340 -1.0860 7.2230
O -3.0658 3.4304 8.4846
O -2.2688 -0.7114 4.3778
O -4.4972 -0.0047 6.6010
O -4.4909 -0.0077 2.0212
O -0.0637 -0.0021 2.1742
O -6.6690 0.6877 4.3176
O 1.5680 1.0346 7.2130
O -1.0903 1.5602 7.1781
O -0.7208 2.2341 4.3352
O 2.8728 3.6363 8.3189
```

=====

Material: Sr4TlFe2O9
Method: DFT, PBE+U
State: relaxed

Calculated values
Magnetization ... 0.5625 μB per atom

```
16
Lattice="0.0000 2.7354 15.2957 2.7112 0.0000 15.2957 2.7112 2.7354 0.0000" Properties=species:S:1:pos:R:3 pbc="T T T"
Sr 2.7112 2.7367 17.8118
Sr 2.7112 2.7367 12.7796
Sr 2.7112 2.7352 21.5754
Sr 2.7112 2.7352 9.0159
Tl 2.7112 0.1468 15.2957
Fe 2.7112 2.7347 4.5464
Fe 2.7112 2.7347 26.0449
O 2.7112 2.7018 2.1028
O 2.7112 2.7018 28.4886
O 4.0685 4.1037 19.6707
O 1.3539 1.3683 4.3750
O 1.3573 1.3683 10.9206
O 4.0651 4.1037 26.2163
O 2.7112 2.7347 6.5162
O 2.7112 2.7347 24.0751
O 2.7112 2.4920 15.2957
```

=====

Material: AlNi3F15
Method: DFT, PBE+U
State: relaxed

Calculated values
E above lowest polymorph ... 0.78 eV/f.u.
Magnetization ... 0.1389 μB per atom

```
38
Lattice="-9.6150 1.9325 4.1614 -0.0355 -5.3568 2.4057 3.6705 0.9531 8.0380" Properties=species:S:1:pos:R:3 pbc="T T T"
Al -4.4498 -0.1525 10.2455
Al -1.5303 -2.3187 4.3597
Ni -2.9723 1.4428 6.0997
Ni -4.1975 1.0288 3.4532
Ni -1.7825 -3.5000 11.1520
Ni 1.8352 0.4766 4.0190
Ni 0.6045 0.0637 1.3749
Ni -6.5845 -2.5349 13.2303
F -5.1594 -1.0833 9.0382
F -6.4890 -1.8224 6.3093
F -4.0086 -0.9642 11.6419
F -0.8206 -1.3879 5.5670
F -1.9715 -1.5070 2.9634
F 0.5090 -0.6488 8.2959
F -1.6335 0.7314 7.0977
F -2.6499 0.4708 4.5877
F -0.4160 0.9657 9.7571
F -4.3466 -3.2026 7.5075
F -5.5641 -3.4368 4.8481
F -3.3302 -2.9420 10.0176
F 1.1138 -3.2491 6.6213
F -0.4253 -3.6010 3.9751
F 2.3141 -2.8547 9.1326
F -7.0939 0.7779 7.9839
F -8.2941 0.3835 5.4726
F -5.5547 1.1298 10.6302
F -4.0764 0.1715 6.6779
F -5.2212 -0.2341 4.1426
F -3.0636 0.6291 9.5520
F -1.9036 -2.6427 7.9273
F -2.9164 -3.1003 5.0532
F -0.7589 -2.2371 10.4626
F 1.4637 0.1089 5.7572
F 0.2481 -0.1116 3.3334
F 2.6496 0.3495 8.4303
F -7.4438 -2.5801 8.8480
F -8.6296 -2.8207 6.1749
F -6.2281 -2.3596 11.2718
```

=====

Material: Mn2ZnO4
Method: DFT, PBE+U
State: relaxed

Calculated values
E above lowest polymorph ... 0.89 eV/f.u.
Magnetization ... 1.1429 μB per atom

```
28
Lattice="3.0164 0.0000 0.0000 0.0000 9.7208 0.0000 0.0000 0.0000 9.9028" Properties=species:S:1:pos:R:3 pbc="T T T"
Mn 0.8890 5.5452 1.1466
Mn 0.8890 0.6848 3.8048
Mn 2.1273 0.6848 8.7561
Mn 0.8890 4.1756 3.8048
Mn 2.1273 4.1756 8.7561
Mn 0.8890 9.0360 1.1466
Mn 2.1273 9.0360 6.0980
Mn 2.1273 5.5452 6.0980
Zn 2.4886 7.2906 3.5047
Zn 2.4886 2.4302 1.4466
Zn 0.5278 7.2906 8.4561
Zn 0.5278 2.4302 6.3980
O 2.1442 8.6226 9.6014
O 0.8722 1.0982 0.3014
O 2.6390 0.0000 2.4757
O 0.8722 8.6226 4.6500
O 0.8722 5.9586 4.6500
O 0.9742 2.4302 2.8984
O 2.1442 1.0982 5.2527
O 2.0422 2.4302 7.8498
O 2.6390 4.8604 2.4757
O 0.3774 0.0000 7.4271
O 2.1442 5.9586 9.6014
O 2.0422 7.2906 7.0043
O 0.9742 7.2906 2.0530
O 0.3774 4.8604 7.4271
O 2.1442 3.7622 5.2527
O 0.8722 3.7622 0.3014
```

=====

Computed DFT formation energy, in the same sequence as the records: -2.178, -2.571, -2.464, -1.872, -1.706, -2.351, -1.822, -1.856 eV/atom.